w:
Here is a relaxed LiTi2V3O12 crystal from the Materials Project database. Energies are from GGA+U.

a = 8.908 Å, b = 9.196 Å, c = 12.536 Å
α = 90.16°, β = 90.54°, γ = 90.04°
Element x y z (fractional)
Li 0.000 0.000 0.000
Li 0.004 0.422 0.643
Li 0.123 0.692 0.484
Li 0.266 0.186 0.610
Ti 0.185 0.435 0.920
Ti 0.187 0.878 0.683
Ti 0.191 0.377 0.411
Ti 0.201 0.934 0.186
Ti 0.679 0.390 0.684
Ti 0.679 0.937 0.922
Ti 0.688 0.887 0.415
Ti 0.690 0.443 0.176
V 0.046 0.289 0.152
V 0.051 0.026 0.442
V 0.323 0.523 0.658
V 0.326 0.791 0.946
V 0.407 0.658 0.310
V 0.474 0.162 0.289
V 0.550 0.299 0.938
V 0.552 0.028 0.652
V 0.827 0.529 0.446
V 0.829 0.798 0.159
V 0.905 0.660 0.809
V 0.972 0.159 0.788
O 0.013 0.573 0.906
O 0.015 0.489 0.487
O 0.015 0.808 0.196
O 0.018 0.788 0.743
O 0.050 0.275 0.882
O 0.065 0.102 0.133
O 0.081 0.335 0.286
O 0.084 0.896 0.541
O 0.113 0.198 0.486
O 0.124 0.076 0.721
O 0.163 0.975 0.335
O 0.166 0.384 0.066
O 0.195 0.467 0.753
O 0.198 0.886 0.027
O 0.252 0.576 0.376
O 0.262 0.695 0.615
O 0.296 0.840 0.814
O 0.297 0.397 0.556
O 0.308 0.604 0.954
O 0.332 0.779 0.214
O 0.361 0.288 0.359
O 0.362 0.075 0.191
O 0.362 0.313 0.898
O 0.364 0.989 0.623
O 0.510 0.840 0.979
O 0.511 0.519 0.700
O 0.514 0.534 0.244
O 0.514 0.748 0.404
O 0.545 0.040 0.382
O 0.566 0.219 0.646
O 0.579 0.411 0.048
O 0.591 0.975 0.781
O 0.602 0.122 0.970
O 0.619 0.252 0.232
O 0.667 0.353 0.836
O 0.669 0.937 0.564
O 0.707 0.440 0.535
O 0.714 0.856 0.261
O 0.757 0.750 0.866
O 0.774 0.622 0.127
O 0.794 0.475 0.318
O 0.807 0.912 0.047
O 0.814 0.719 0.452
O 0.842 0.536 0.713
O 0.864 0.019 0.406
O 0.865 0.337 0.122
O 0.872 0.034 0.863
O 0.872 0.254 0.691

=====

x:
Here is a relaxed LiTi2V3O12 crystal from the Materials Project database. Energies are from GGA+U.

a = 9.006 Å, b = 9.147 Å, c = 15.471 Å
α = 90.00°, β = 125.17°, γ = 90.00°
Element x y z (fractional)
Li 0.002 0.222 0.311
Li 0.002 0.278 0.811
Li 0.998 0.722 0.189
Li 0.998 0.778 0.689
Ti 0.136 0.534 0.384
Ti 0.136 0.966 0.884
Ti 0.371 0.519 0.119
Ti 0.371 0.981 0.619
Ti 0.629 0.019 0.381
Ti 0.629 0.481 0.881
Ti 0.864 0.034 0.116
Ti 0.864 0.466 0.616
V 0.028 0.109 0.641
V 0.028 0.391 0.141
V 0.252 0.619 0.645
V 0.252 0.881 0.145
V 0.457 0.249 0.987
V 0.457 0.251 0.487
V 0.543 0.749 0.513
V 0.543 0.751 0.013
V 0.748 0.119 0.855
V 0.748 0.381 0.355
V 0.972 0.609 0.859
V 0.972 0.891 0.359
O 0.005 0.216 0.180
O 0.005 0.284 0.680
O 0.091 0.518 0.241
O 0.091 0.982 0.741
O 0.094 0.584 0.673
O 0.094 0.916 0.173
O 0.163 0.566 0.515
O 0.163 0.934 0.015
O 0.182 0.559 0.965
O 0.182 0.941 0.465
O 0.186 0.103 0.610
O 0.186 0.397 0.110
O 0.242 0.165 0.917
O 0.242 0.335 0.417
O 0.283 0.694 0.155
O 0.283 0.806 0.655
O 0.367 0.622 0.442
O 0.367 0.878 0.942
O 0.455 0.525 0.735
O 0.455 0.975 0.235
O 0.468 0.131 0.577
O 0.468 0.369 0.077
O 0.476 0.163 0.396
O 0.476 0.337 0.896
O 0.524 0.663 0.104
O 0.524 0.837 0.604
O 0.532 0.631 0.923
O 0.532 0.869 0.423
O 0.545 0.025 0.765
O 0.545 0.475 0.265
O 0.633 0.122 0.058
O 0.633 0.378 0.558
O 0.717 0.194 0.345
O 0.717 0.306 0.845
O 0.758 0.665 0.583
O 0.758 0.835 0.083
O 0.814 0.603 0.890
O 0.814 0.897 0.390
O 0.818 0.059 0.535
O 0.818 0.441 0.035
O 0.837 0.066 0.985
O 0.837 0.434 0.485
O 0.906 0.084 0.827
O 0.906 0.416 0.327
O 0.909 0.018 0.259
O 0.909 0.482 0.759
O 0.995 0.716 0.320
O 0.995 0.784 0.820

=====

List of relative energies, unit meV per atom: w 10; x 0

=====

w:
Here is a relaxed Li3TiV2O6 crystal from the Materials Project database. Energies are from GGA+U.

a = 2.943 Å, b = 6.020 Å, c = 13.170 Å
α = 103.93°, β = 90.00°, γ = 90.01°
Element x y z (fractional)
Ti 0.998 0.333 0.667
Ti 0.498 0.333 0.167
V 0.998 0.671 0.334
V 0.498 0.671 0.834
V 0.998 0.995 0.999
V 0.498 0.995 0.499
Li 0.998 0.834 0.667
Li 0.999 0.159 0.334
Li 0.496 0.507 0.500
Li 0.996 0.507 0.000
Li 0.498 0.834 0.167
Li 0.499 0.159 0.833
O 0.498 0.419 0.323
O 0.998 0.247 0.510
O 0.998 0.419 0.823
O 0.498 0.102 0.666
O 0.498 0.910 0.334
O 0.998 0.102 0.166
O 0.498 0.757 0.999
O 0.498 0.247 0.010
O 0.998 0.564 0.167
O 0.998 0.757 0.499
O 0.998 0.910 0.834
O 0.498 0.564 0.668

=====

x:
Here is a relaxed Li3TiV2O6 crystal from the Materials Project database. Energies are from GGA+U.

a = 5.973 Å, b = 6.662 Å, c = 6.732 Å
α = 97.11°, β = 115.77°, γ = 102.95°
Element x y z (fractional)
Li 0.000 0.000 0.000
Li 0.000 0.326 0.341
Li 0.495 0.660 0.663
Li 0.500 0.000 0.000
Li 0.500 0.326 0.341
Li 0.994 0.661 0.662
Ti 0.243 0.655 0.159
Ti 0.743 0.655 0.160
V 0.248 0.328 0.836
V 0.251 0.004 0.508
V 0.749 0.328 0.835
V 0.751 0.004 0.508
O 0.110 0.671 0.393
O 0.122 0.993 0.741
O 0.131 0.346 0.093
O 0.366 0.976 0.261
O 0.373 0.322 0.586
O 0.386 0.665 0.940
O 0.611 0.671 0.393
O 0.622 0.993 0.741
O 0.631 0.347 0.092
O 0.866 0.976 0.261
O 0.873 0.322 0.586
O 0.886 0.664 0.940

=====

List of relative energies, unit meV per atom: w 6; x 0

=====

w:
Here is a relaxed LiV6O13 crystal from the Materials Project database. Energies are from GGA+U.

a = 3.720 Å, b = 11.464 Å, c = 12.137 Å
α = 110.41°, β = 90.17°, γ = 99.33°
Element x y z (fractional)
Li 0.188 0.370 0.264
Li 0.812 0.630 0.736
V 0.053 0.103 0.458
V 0.072 0.146 0.784
V 0.220 0.493 0.888
V 0.227 0.448 0.574
V 0.426 0.855 0.016
V 0.436 0.872 0.731
V 0.564 0.128 0.269
V 0.574 0.145 0.984
V 0.773 0.552 0.426
V 0.780 0.507 0.112
V 0.928 0.854 0.216
V 0.947 0.897 0.542
O 0.041 0.081 0.283
O 0.041 0.082 0.607
O 0.064 0.127 0.941
O 0.145 0.290 0.528
O 0.149 0.306 0.821
O 0.245 0.494 0.428
O 0.248 0.498 0.070
O 0.261 0.504 0.744
O 0.344 0.697 0.949
O 0.357 0.715 0.697
O 0.444 0.888 0.569
O 0.449 0.897 0.195
O 0.457 0.914 0.900
O 0.543 0.086 0.100
O 0.551 0.103 0.805
O 0.556 0.112 0.431
O 0.643 0.285 0.303
O 0.656 0.303 0.051
O 0.739 0.496 0.256
O 0.752 0.502 0.930
O 0.755 0.506 0.572
O 0.851 0.694 0.179
O 0.855 0.710 0.472
O 0.936 0.873 0.059
O 0.959 0.918 0.393
O 0.959 0.919 0.717

=====

x:
Here is a relaxed LiV6O13 crystal from the Materials Project database. Energies are from GGA+U.

a = 3.720 Å, b = 11.464 Å, c = 12.137 Å
α = 110.41°, β = 90.17°, γ = 99.33°
Element x y z (fractional)
Li 0.058 0.370 0.264
Li 0.942 0.630 0.736
V 0.175 0.448 0.574
V 0.192 0.128 0.269
V 0.213 0.493 0.888
V 0.219 0.145 0.984
V 0.282 0.854 0.216
V 0.344 0.897 0.542
V 0.656 0.103 0.458
V 0.718 0.146 0.784
V 0.781 0.855 0.016
V 0.787 0.507 0.112
V 0.808 0.872 0.731
V 0.825 0.552 0.426
O 0.045 0.694 0.179
O 0.065 0.710 0.472
O 0.129 0.086 0.100
O 0.154 0.103 0.805
O 0.168 0.112 0.431
O 0.239 0.494 0.428
O 0.246 0.498 0.070
O 0.264 0.504 0.744
O 0.309 0.873 0.059
O 0.378 0.918 0.393
O 0.378 0.919 0.717
O 0.427 0.285 0.303
O 0.459 0.303 0.051
O 0.541 0.697 0.949
O 0.573 0.715 0.697
O 0.622 0.081 0.283
O 0.622 0.082 0.607
O 0.691 0.127 0.941
O 0.736 0.496 0.256
O 0.754 0.502 0.930
O 0.761 0.506 0.572
O 0.832 0.888 0.569
O 0.846 0.897 0.195
O 0.871 0.914 0.900
O 0.935 0.290 0.528
O 0.955 0.306 0.821

=====

List of relative energies, unit meV per atom: w 0; x 379

=====

w:
Here is a relaxed Li3V4O8 crystal from the Materials Project database. Energies are from GGA+U.

a = 5.923 Å, b = 6.114 Å, c = 10.204 Å
α = 106.29°, β = 90.37°, γ = 118.71°
Element x y z (fractional)
Li 0.000 0.000 0.000
Li 0.060 0.137 0.361
Li 0.280 0.569 0.430
Li 0.497 0.001 0.502
Li 0.565 0.138 0.856
Li 0.784 0.568 0.926
V 0.032 0.076 0.682
V 0.032 0.574 0.182
V 0.034 0.573 0.680
V 0.286 0.571 0.930
V 0.529 0.572 0.177
V 0.531 0.574 0.680
V 0.533 0.073 0.181
V 0.779 0.572 0.436
O 0.130 0.810 0.553
O 0.167 0.342 0.565
O 0.167 0.806 0.059
O 0.193 0.368 0.070
O 0.384 0.776 0.800
O 0.397 0.332 0.803
O 0.403 0.806 0.294
O 0.431 0.342 0.304
O 0.646 0.811 0.065
O 0.661 0.341 0.068
O 0.667 0.810 0.554
O 0.677 0.366 0.553
O 0.864 0.766 0.301
O 0.896 0.800 0.793
O 0.897 0.342 0.306
O 0.924 0.328 0.800

=====

x:
Here is a relaxed Li3V4O8 crystal from the Materials Project database. Energies are from GGA+U.

a = 6.108 Å, b = 6.108 Å, c = 6.108 Å
α = 57.97°, β = 57.97°, γ = 57.97°
Element x y z (fractional)
Li 0.000 0.000 0.000
Li 0.145 0.145 0.145
Li 0.855 0.855 0.855
V 0.000 0.500 0.500
V 0.500 0.000 0.500
V 0.500 0.500 0.000
V 0.500 0.500 0.500
O 0.254 0.254 0.726
O 0.254 0.726 0.254
O 0.266 0.266 0.266
O 0.274 0.746 0.746
O 0.726 0.254 0.254
O 0.734 0.734 0.734
O 0.746 0.274 0.746
O 0.746 0.746 0.274

=====

List of relative energies, unit meV per atom: w 0; x 33